{
  "formula": "EuS",
  "functional": "PBE-GGA",
  "state": "optimized geometry",
  "lattice_angstrom": [[5.845, 0.000, 0.000], [0.000, 5.845, 0.000], [0.000, 0.000, 5.845]],
  "species": ["Eu", "Eu", "Eu", "Eu", "S", "S", "S", "S"],
  "frac_coords": [[0.000, 0.000, 0.000], [0.000, 0.500, 0.500], [0.500, 0.000, 0.500], [0.500, 0.500, 0.000], [0.000, 0.000, 0.500], [0.000, 0.500, 0.000], [0.500, 0.000, 0.000], [0.500, 0.500, 0.500]],
  "e_above_lowest_polymorph_mev_per_atom": 0.0,
  "formation_energy_ev_per_atom": -2.407,
  "spacegroup": "Fm-3m, No. 225"
}

***

{
  "formula": "Eu2SeS",
  "functional": "PBE-GGA",
  "state": "optimized geometry",
  "lattice_angstrom": [[4.237, 0.000, 0.000], [-2.119, 3.669, 0.000], [0.000, 0.000, 20.781]],
  "species": ["Eu", "Eu", "Eu", "Eu", "Eu", "Eu", "Se", "Se", "Se", "S", "S", "S"],
  "frac_coords": [[0.000, 0.000, 0.247], [0.000, 0.000, 0.753], [0.333, 0.667, 0.420], [0.333, 0.667, 0.913], [0.667, 0.333, 0.087], [0.667, 0.333, 0.580], [0.000, 0.000, 0.000], [0.333, 0.667, 0.667], [0.667, 0.333, 0.333], [0.000, 0.000, 0.500], [0.333, 0.667, 0.167], [0.667, 0.333, 0.833]],
  "formation_energy_ev_per_atom": -2.219,
  "spacegroup": "R-3m, No. 166"
}

***

{
  "formula": "SrEuSeS",
  "functional": "PBE-GGA",
  "state": "optimized geometry",
  "lattice_angstrom": [[4.326, 0.000, 0.000], [-2.163, 3.746, 0.000], [0.000, 0.000, 21.261]],
  "species": ["Sr", "Sr", "Sr", "Eu", "Eu", "Eu", "Se", "Se", "Se", "S", "S", "S"],
  "frac_coords": [[0.000, 0.000, 0.000], [0.333, 0.667, 0.667], [0.667, 0.333, 0.333], [0.000, 0.000, 0.507], [0.333, 0.667, 0.173], [0.667, 0.333, 0.840], [0.000, 0.000, 0.755], [0.333, 0.667, 0.422], [0.667, 0.333, 0.088], [0.000, 0.000, 0.251], [0.333, 0.667, 0.918], [0.667, 0.333, 0.584]],
  "formation_energy_ev_per_atom": -2.209,
  "spacegroup": "R3m, No. 160"
}

***

{
  "formula": "Sm3Eu3S8",
  "functional": "PBE-GGA",
  "state": "optimized geometry",
  "lattice_angstrom": [[6.041, -4.292, 0.000], [6.041, 4.292, 0.000], [-6.036, 0.000, 6.087]],
  "species": ["Sm", "Sm", "Sm", "Eu", "Eu", "Eu", "S", "S", "S", "S", "S", "S", "S", "S"],
  "frac_coords": [[0.000, 0.000, 0.000], [0.498, 0.253, 0.125], [0.747, 0.502, 0.875], [0.125, 0.376, 0.625], [0.247, 0.753, 0.500], [0.624, 0.875, 0.375], [0.020, 0.134, 0.762], [0.219, 0.626, 0.099], [0.374, 0.781, 0.901], [0.376, 0.270, 0.391], [0.530, 0.132, 0.761], [0.730, 0.624, 0.609], [0.866, 0.980, 0.238], [0.868, 0.470, 0.239]],
  "formation_energy_ev_per_atom": -2.349,
  "spacegroup": "C2, No. 5"
}

***

{
  "formula": "Sm2EuS4",
  "functional": "PBE-GGA",
  "state": "optimized geometry",
  "lattice_angstrom": [[-4.282, 4.282, 4.285], [4.282, -4.282, 4.285], [4.282, 4.282, -4.285]],
  "species": ["Sm", "Sm", "Sm", "Sm", "Eu", "Eu", "S", "S", "S", "S", "S", "S", "S", "S"],
  "frac_coords": [[0.002, 0.625, 0.877], [0.375, 0.252, 0.377], [0.748, 0.125, 0.123], [0.875, 0.998, 0.623], [0.250, 0.750, 0.500], [0.500, 0.500, 0.000], [0.117, 0.368, 0.599], [0.118, 0.367, 0.099], [0.268, 0.019, 0.901], [0.482, 0.883, 0.251], [0.632, 0.231, 0.749], [0.633, 0.732, 0.751], [0.769, 0.518, 0.401], [0.981, 0.882, 0.249]],
  "formation_energy_ev_per_atom": -2.381,
  "spacegroup": "I-42d, No. 122"
}

***

{
  "formula": "Eu3Sn2S7",
  "functional": "PBE-GGA",
  "state": "optimized geometry",
  "lattice_angstrom": [[11.401, 0.000, 0.000], [0.000, 12.661, 0.000], [0.000, 0.000, 3.996]],
  "species": ["Eu", "Eu", "Eu", "Eu", "Eu", "Eu", "Sn", "Sn", "Sn", "Sn", "S", "S", "S", "S", "S", "S", "S", "S", "S", "S", "S", "S", "S", "S"],
  "frac_coords": [[0.000, 0.000, 0.000], [0.117, 0.348, 0.000], [0.383, 0.848, 0.000], [0.500, 0.500, 0.000], [0.617, 0.152, 0.000], [0.883, 0.652, 0.000], [0.213, 0.609, 0.500], [0.287, 0.109, 0.500], [0.713, 0.891, 0.500], [0.787, 0.391, 0.500], [0.000, 0.500, 0.500], [0.080, 0.179, 0.500], [0.145, 0.713, 0.000], [0.202, 0.930, 0.500], [0.298, 0.430, 0.500], [0.355, 0.213, 0.000], [0.420, 0.679, 0.500], [0.500, 0.000, 0.500], [0.580, 0.321, 0.500], [0.645, 0.787, 0.000], [0.702, 0.570, 0.500], [0.798, 0.070, 0.500], [0.855, 0.287, 0.000], [0.920, 0.821, 0.500]],
  "formation_energy_ev_per_atom": -1.554,
  "spacegroup": "Pbam, No. 55"
}

***

{
  "formula": "Tb2EuS4",
  "functional": "PBE-GGA",
  "state": "optimized geometry",
  "lattice_angstrom": [[-4.237, 4.237, 4.213], [4.237, -4.237, 4.213], [4.237, 4.237, -4.213]],
  "species": ["Tb", "Tb", "Tb", "Tb", "Eu", "Eu", "S", "S", "S", "S", "S", "S", "S", "S"],
  "frac_coords": [[0.001, 0.125, 0.376], [0.375, 0.999, 0.124], [0.749, 0.625, 0.624], [0.875, 0.251, 0.876], [0.250, 0.750, 0.500], [0.500, 0.500, 0.000], [0.114, 0.514, 0.748], [0.116, 0.016, 0.752], [0.264, 0.364, 0.248], [0.486, 0.234, 0.600], [0.634, 0.886, 0.400], [0.636, 0.884, 0.900], [0.766, 0.366, 0.252], [0.984, 0.736, 0.100]],
  "formation_energy_ev_per_atom": -2.372,
  "spacegroup": "I-42d, No. 122"
}

***

{
  "formula": "EuY2S4",
  "functional": "PBE-GGA",
  "state": "optimized geometry",
  "lattice_angstrom": [[-4.237, 4.237, 4.206], [4.237, -4.237, 4.206], [4.237, 4.237, -4.206]],
  "species": ["Eu", "Eu", "Y", "Y", "Y", "Y", "S", "S", "S", "S", "S", "S", "S", "S"],
  "frac_coords": [[0.000, 0.000, 0.000], [0.750, 0.250, 0.500], [0.250, 0.125, 0.625], [0.375, 0.750, 0.875], [0.500, 0.625, 0.375], [0.875, 0.500, 0.125], [0.134, 0.386, 0.399], [0.136, 0.384, 0.899], [0.265, 0.866, 0.252], [0.485, 0.237, 0.101], [0.614, 0.013, 0.748], [0.616, 0.515, 0.752], [0.763, 0.864, 0.248], [0.987, 0.735, 0.601]],
  "piezo_max_c_m2": 0.55,
  "formation_energy_ev_per_atom": -2.363,
  "spacegroup": "I-42d, No. 122"
}

***

Number 6 is which compound? Eu3Sn2S7

***

What did the third record say?
{
  "formula": "SrEuSeS",
  "functional": "PBE-GGA",
  "state": "optimized geometry",
  "lattice_angstrom": [[4.326, 0.000, 0.000], [-2.163, 3.746, 0.000], [0.000, 0.000, 21.261]],
  "species": ["Sr", "Sr", "Sr", "Eu", "Eu", "Eu", "Se", "Se", "Se", "S", "S", "S"],
  "frac_coords": [[0.000, 0.000, 0.000], [0.333, 0.667, 0.667], [0.667, 0.333, 0.333], [0.000, 0.000, 0.507], [0.333, 0.667, 0.173], [0.667, 0.333, 0.840], [0.000, 0.000, 0.755], [0.333, 0.667, 0.422], [0.667, 0.333, 0.088], [0.000, 0.000, 0.251], [0.333, 0.667, 0.918], [0.667, 0.333, 0.584]],
  "formation_energy_ev_per_atom": -2.209,
  "spacegroup": "R3m, No. 160"
}